Dy4Cu7Sn11 | the Materials Project database | PBE | relaxed; space-group type = P4mm; VASP energy = -0.162 Ha/atom
1.0
4.410 0.000 0.000
0.000 4.410 0.000
0.000 0.000 25.256
Dy Cu Sn
4 7 11
Cartesian
2.205 2.205 4.553
0.000 0.000 17.065
0.000 0.000 25.188
2.205 2.205 12.595
2.205 0.000 2.104
0.000 2.205 14.884
0.000 2.205 2.104
2.205 0.000 14.884
2.205 2.205 15.969
0.000 0.000 5.886
2.205 2.205 18.316
2.205 0.000 10.183
0.000 2.205 22.775
0.000 2.205 10.183
2.205 0.000 22.775
2.205 0.000 7.262
0.000 2.205 19.807
0.000 2.205 7.262
2.205 0.000 19.807
2.205 2.205 0.587
0.000 0.000 13.411
0.000 0.000 3.429